# 1
BaTeS3O2: relaxed, PBE-GGA.

CIF file:
```
data_BaTeS3O2
_chemical_formula_sum 'Ba4 Te4 S12 O8'
_cell_length_a 6.7340
_cell_length_b 6.5734
_cell_length_c 14.9458
_cell_angle_alpha 90.00
_cell_angle_beta 90.00
_cell_angle_gamma 90.00
_symmetry_space_group_name_H-M 'P b c m'
_symmetry_Int_Tables_number 57
loop_
_symmetry_equiv_pos_as_xyz
'x,y,z'
'-x,-y,-z'
'-x,-y,z+1/2'
'x,y,-z+1/2'
'x,-y+1/2,-z'
'-x,y+1/2,z'
'-x,y+1/2,-z+1/2'
'x,-y+1/2,z+1/2'
loop_
_atom_site_label
_atom_site_type_symbol
_atom_site_fract_x
_atom_site_fract_y
_atom_site_fract_z
_atom_site_occupancy
Ba1 Ba 0.1862 0.2500 0.0000 1
Te1 Te 0.3845 0.5289 0.2500 1
S1 S 0.1478 0.2224 0.7500 1
S2 S 0.3444 0.7416 0.1031 1
O1 O 0.1558 0.6239 0.5820 1
```

Values from the calculation:
ΔE_f, meV per atom: -1035
E_tot, eV/atom: -4.748

# 2
Mg14ZrAl: relaxed, PBE-GGA.

CIF file:
```
data_Mg14ZrAl
_chemical_formula_sum 'Mg14 Zr1 Al1'
_cell_length_a 6.3716
_cell_length_b 6.3716
_cell_length_c 10.1635
_cell_angle_alpha 90.00
_cell_angle_beta 90.00
_cell_angle_gamma 120.00
_symmetry_space_group_name_H-M 'P -6 m 2'
_symmetry_Int_Tables_number 187
_symmetry_space_group_name_Hall 'P -6 2'
loop_
_atom_site_label
_atom_site_type_symbol
_atom_site_fract_x
_atom_site_fract_y
_atom_site_fract_z
_atom_site_occupancy
Mg1 Mg 0.0000 0.0000 0.2438 1
Mg2 Mg 0.0084 0.5042 0.2511 1
Mg3 Mg 0.3316 0.1658 0.5000 1
Mg4 Mg 0.3384 0.1692 0.0000 1
Zr1 Zr 0.3333 0.6667 0.0000 1
Al1 Al 0.3333 0.6667 0.5000 1
```

Values from the calculation:
ΔE_f, meV per atom: 17
E_tot, eV/atom: -2.152

# 3
Pr9Ga5S21: relaxed, PBE-GGA.

CIF file:
```
data_Pr9Ga5S21
_chemical_formula_sum 'Pr54 Ga30 S126'
_cell_length_a 17.5111
_cell_length_b 17.5111
_cell_length_c 18.3649
_cell_angle_alpha 90.00
_cell_angle_beta 90.00
_cell_angle_gamma 120.00
_symmetry_space_group_name_H-M 'R 3'
_symmetry_Int_Tables_number 146
_symmetry_space_group_name_Hall 'R 3'
loop_
_atom_site_label
_atom_site_type_symbol
_atom_site_fract_x
_atom_site_fract_y
_atom_site_fract_z
_atom_site_occupancy
Pr1 Pr 0.0305 0.2023 0.9995 1
Pr2 Pr 0.0301 0.2018 0.3333 1
Pr3 Pr 0.0298 0.2026 0.6772 1
Pr4 Pr 0.1594 0.6933 0.1652 1
Pr5 Pr 0.1611 0.6972 0.8434 1
Pr6 Pr 0.1633 0.6997 0.5012 1
Ga1 Ga 0.0000 0.0000 0.0759 1
Ga2 Ga 0.0000 0.0000 0.2755 1
Ga3 Ga 0.0000 0.0000 0.5755 1
Ga4 Ga 0.0000 0.0000 0.7755 1
Ga5 Ga 0.0015 0.6697 0.6440 1
Ga6 Ga 0.0034 0.3346 0.1440 1
S1 S 0.0000 0.3325 0.5999 1
S2 S 0.9998 0.6657 0.4333 1
S3 S 0.0142 0.5550 0.9258 1
S4 S 0.0152 0.1286 0.5273 1
S5 S 0.0172 0.1223 0.1900 1
S6 S 0.0210 0.1332 0.8426 1
S7 S 0.0212 0.5568 0.2605 1
S8 S 0.0266 0.5642 0.5933 1
S9 S 0.1223 0.1058 0.6903 1
S10 S 0.1263 0.3474 0.4278 1
S11 S 0.1292 0.1121 0.0275 1
S12 S 0.1288 0.3596 0.7610 1
S13 S 0.1308 0.3550 0.0911 1
S14 S 0.1327 0.1128 0.3423 1
```

Values from the calculation:
ΔE_f, meV per atom: -1864
E_tot, eV/atom: -5.706

# 4
AuBr3: relaxed, PBE-GGA.

CIF file:
```
data_AuBr3
_chemical_formula_sum 'Au8 Br24'
_cell_length_a 7.0496
_cell_length_b 20.8127
_cell_length_c 9.1377
_cell_angle_alpha 90.00
_cell_angle_beta 116.77
_cell_angle_gamma 90.00
_symmetry_space_group_name_H-M 'P 1 21/c 1'
_symmetry_Int_Tables_number 14
loop_
_symmetry_equiv_pos_as_xyz
'x,y,z'
'-x,-y,-z'
'-x,y+1/2,-z+1/2'
'x,-y+1/2,z+1/2'
loop_
_atom_site_label
_atom_site_type_symbol
_atom_site_fract_x
_atom_site_fract_y
_atom_site_fract_z
_atom_site_occupancy
Au1 Au 0.1311 0.2107 0.2851 1
Au2 Au 0.2352 0.0380 0.2600 1
Br1 Br 0.0306 0.5603 0.7299 1
Br2 Br 0.0560 0.6058 0.2327 1
Br3 Br 0.1703 0.7329 0.7117 1
Br4 Br 0.3160 0.1886 0.7930 1
Br5 Br 0.4318 0.1433 0.2918 1
Br6 Br 0.4691 0.0214 0.7460 1
```

Values from the calculation:
ΔE_f, meV per atom: -557
E_tot, eV/atom: -2.203

# 5
CoPd2Se2: relaxed, PBE-GGA.

CIF file:
```
data_CoPd2Se2
_chemical_formula_sum 'Co4 Pd8 Se8'
_cell_length_a 6.0442
_cell_length_b 10.6448
_cell_length_c 5.0426
_cell_angle_alpha 90.00
_cell_angle_beta 90.00
_cell_angle_gamma 90.00
_symmetry_space_group_name_H-M 'I b a m'
_symmetry_Int_Tables_number 72
_symmetry_space_group_name_Hall '-I 2 2c'
loop_
_atom_site_label
_atom_site_type_symbol
_atom_site_fract_x
_atom_site_fract_y
_atom_site_fract_z
_atom_site_occupancy
Co1 Co 0.0000 0.0000 0.2500 1
Pd1 Pd 0.1242 0.3872 0.0000 1
Se1 Se 0.2099 0.1413 0.0000 1
```

Values from the calculation:
ΔE_f, meV per atom: -467
E_tot, eV/atom: -5.170

# 6
Li2BPCO7: relaxed, PBE-GGA.

CIF file:
```
data_Li2BPCO7
_chemical_formula_sum 'Li4 B2 P2 C2 O14'
_cell_length_a 5.4089
_cell_length_b 5.0594
_cell_length_c 9.4285
_cell_angle_alpha 90.00
_cell_angle_beta 101.91
_cell_angle_gamma 90.00
_symmetry_space_group_name_H-M 'P 1 21/m 1'
_symmetry_Int_Tables_number 11
loop_
_symmetry_equiv_pos_as_xyz
'x,y,z'
'-x,-y,-z'
'-x,y+1/2,-z'
'x,-y+1/2,z'
loop_
_atom_site_label
_atom_site_type_symbol
_atom_site_fract_x
_atom_site_fract_y
_atom_site_fract_z
_atom_site_occupancy
Li1 Li 0.1888 0.0015 0.2950 1
B1 B 0.4378 0.7500 0.8343 1
P1 P 0.2077 0.2500 0.9197 1
C1 C 0.2314 0.7500 0.5758 1
O1 O 0.0238 0.7500 0.6174 1
O2 O 0.0752 0.7500 0.1331 1
O3 O 0.2620 0.7500 0.4466 1
O4 O 0.2920 0.2500 0.0904 1
O5 O 0.3169 0.5025 0.8640 1
O6 O 0.4551 0.7500 0.6790 1
```

Values from the calculation:
ΔE_f, meV per atom: -2422
E_tot, eV/atom: -7.003

# 7
CsH2F3: relaxed, PBE-GGA.

CIF file:
```
data_CsH2F3
_chemical_formula_sum 'Cs8 H16 F24'
_cell_length_a 7.5010
_cell_length_b 9.2934
_cell_length_c 11.6049
_cell_angle_alpha 90.00
_cell_angle_beta 90.00
_cell_angle_gamma 90.00
_symmetry_space_group_name_H-M 'P 21 21 21'
_symmetry_Int_Tables_number 19
loop_
_symmetry_equiv_pos_as_xyz
'x,y,z'
'-x+1/2,-y,z+1/2'
'x+1/2,-y+1/2,-z'
'-x,y+1/2,-z+1/2'
loop_
_atom_site_label
_atom_site_type_symbol
_atom_site_fract_x
_atom_site_fract_y
_atom_site_fract_z
_atom_site_occupancy
Cs1 Cs 0.0153 0.1428 0.3897 1
Cs2 Cs 0.0269 0.2152 0.8381 1
H1 H 0.0331 0.2386 0.1124 1
H2 H 0.0367 0.4127 0.5590 1
H3 H 0.2064 0.4769 0.3810 1
H4 H 0.2157 0.0092 0.1264 1
F1 F 0.0638 0.8794 0.8856 1
F2 F 0.0648 0.8140 0.4039 1
F3 F 0.1620 0.1463 0.1351 1
F4 F 0.1689 0.4550 0.4939 1
F5 F 0.2342 0.0937 0.6249 1
F6 F 0.2435 0.4896 0.2969 1
```

Values from the calculation:
ΔE_f, meV per atom: -2300
E_tot, eV/atom: -4.307

# 8
Tb2Co3Ni: relaxed, PBE-GGA.

CIF file:
```
data_Tb2Co3Ni
_chemical_formula_sum 'Tb6 Co9 Ni3'
_cell_length_a 4.9995
_cell_length_b 4.9995
_cell_length_c 12.8413
_cell_angle_alpha 90.00
_cell_angle_beta 90.00
_cell_angle_gamma 120.00
_symmetry_space_group_name_H-M 'R -3 m'
_symmetry_Int_Tables_number 166
_symmetry_space_group_name_Hall '-R 3 2"'
loop_
_atom_site_label
_atom_site_type_symbol
_atom_site_fract_x
_atom_site_fract_y
_atom_site_fract_z
_atom_site_occupancy
Tb1 Tb 0.0000 0.0000 0.1218 1
Co1 Co 0.0000 0.5000 0.0000 1
Ni1 Ni 0.0000 0.0000 0.5000 1
```

Values from the calculation:
ΔE_f, meV per atom: -248
E_tot, eV/atom: -6.310

# 9
ZrMnN2: relaxed, PBE-GGA.

CIF file:
```
data_ZrMnN2
_chemical_formula_sum 'Zr4 Mn4 N8'
_cell_length_a 6.3830
_cell_length_b 7.3905
_cell_length_c 4.4415
_cell_angle_alpha 90.00
_cell_angle_beta 90.00
_cell_angle_gamma 90.00
_symmetry_space_group_name_H-M 'P n a 21'
_symmetry_Int_Tables_number 33
loop_
_symmetry_equiv_pos_as_xyz
'x,y,z'
'-x,-y,z+1/2'
'-x+1/2,y+1/2,z+1/2'
'x+1/2,-y+1/2,z'
loop_
_atom_site_label
_atom_site_type_symbol
_atom_site_fract_x
_atom_site_fract_y
_atom_site_fract_z
_atom_site_occupancy
Zr1 Zr 0.0949 0.1297 0.0000 1
Mn1 Mn 0.0782 0.6270 0.0003 1
N1 N 0.0718 0.6211 0.4985 1
N2 N 0.0825 0.1217 0.5001 1
```

Values from the calculation:
ΔE_f, meV per atom: -1067
E_tot, eV/atom: -9.482

# 10
FeNi2Se4: relaxed, PBE-GGA.

CIF file:
```
data_FeNi2Se4
_chemical_formula_sum 'Fe2 Ni4 Se8'
_cell_length_a 12.1205
_cell_length_b 3.5824
_cell_length_c 6.2063
_cell_angle_alpha 90.00
_cell_angle_beta 119.56
_cell_angle_gamma 90.00
_symmetry_space_group_name_H-M 'C 1 2/m 1'
_symmetry_Int_Tables_number 12
loop_
_symmetry_equiv_pos_as_xyz
'x,y,z'
'-x,-y,-z'
'-x,y,-z'
'x,-y,z'
'x+1/2,y+1/2,z'
'-x+1/2,-y+1/2,-z'
'-x+1/2,y+1/2,-z'
'x+1/2,-y+1/2,z'
loop_
_atom_site_label
_atom_site_type_symbol
_atom_site_fract_x
_atom_site_fract_y
_atom_site_fract_z
_atom_site_occupancy
Fe1 Fe 0.0000 0.0000 0.0000 1
Ni1 Ni 0.2395 0.5000 0.7116 1
Se1 Se 0.1148 0.0000 0.4499 1
Se2 Se 0.1355 0.5000 0.9765 1
```

Values from the calculation:
ΔE_f, meV per atom: -527
E_tot, eV/atom: -5.117

# 11
Ti8N5: relaxed, PBE-GGA.

CIF file:
```
data_Ti8N5
_chemical_formula_sum 'Ti8 N5'
_cell_length_a 4.2013
_cell_length_b 4.2013
_cell_length_c 8.6056
_cell_angle_alpha 90.00
_cell_angle_beta 90.00
_cell_angle_gamma 90.00
_symmetry_space_group_name_H-M 'P -4 m 2'
_symmetry_Int_Tables_number 115
loop_
_symmetry_equiv_pos_as_xyz
'x,y,z'
'y,-x,-z'
'-x,-y,z'
'-y,x,-z'
'-x,y,z'
'-y,-x,-z'
'x,-y,z'
'y,x,-z'
loop_
_atom_site_label
_atom_site_type_symbol
_atom_site_fract_x
_atom_site_fract_y
_atom_site_fract_z
_atom_site_occupancy
Ti1 Ti 0.0000 0.0000 0.2410 1
Ti2 Ti 0.0000 0.5000 0.5145 1
Ti3 Ti 0.0000 0.5000 0.9834 1
Ti4 Ti 0.5000 0.5000 0.2560 1
N1 N 0.0000 0.0000 0.0000 1
N2 N 0.0000 0.5000 0.7501 1
N3 N 0.5000 0.5000 0.0000 1
N4 N 0.5000 0.5000 0.5000 1
```

Values from the calculation:
ΔE_f, meV per atom: -1561
E_tot, eV/atom: -9.487

# 12
ScIn: relaxed, PBE-GGA.

CIF file:
```
data_ScIn
_chemical_formula_sum 'Sc1 In1'
_cell_length_a 3.2413
_cell_length_b 3.2413
_cell_length_c 4.3225
_cell_angle_alpha 90.00
_cell_angle_beta 90.00
_cell_angle_gamma 90.00
_symmetry_space_group_name_H-M 'P 4/m m m'
_symmetry_Int_Tables_number 123
_symmetry_space_group_name_Hall '-P 4 2'
loop_
_atom_site_label
_atom_site_type_symbol
_atom_site_fract_x
_atom_site_fract_y
_atom_site_fract_z
_atom_site_occupancy
Sc1 Sc 0.0000 0.0000 0.0000 1
In1 In 0.5000 0.5000 0.5000 1
```

Values from the calculation:
ΔE_f, meV per atom: -433
E_tot, eV/atom: -4.975

# 13
TiZnF4: relaxed, PBE-GGA.

CIF file:
```
data_TiZnF4
_chemical_formula_sum 'Ti1 Zn1 F4'
_cell_length_a 3.6405
_cell_length_b 3.6405
_cell_length_c 5.1829
_cell_angle_alpha 90.00
_cell_angle_beta 90.00
_cell_angle_gamma 90.00
_symmetry_space_group_name_H-M 'P 4/m m m'
_symmetry_Int_Tables_number 123
_symmetry_space_group_name_Hall '-P 4 2'
loop_
_atom_site_label
_atom_site_type_symbol
_atom_site_fract_x
_atom_site_fract_y
_atom_site_fract_z
_atom_site_occupancy
Ti1 Ti 0.0000 0.0000 0.0000 1
Zn1 Zn 0.5000 0.5000 0.5000 1
F1 F 0.0000 0.5000 0.2504 1
```

Values from the calculation:
ΔE_f, meV per atom: -2761
E_tot, eV/atom: -5.255